DFT (PBE) results for a relaxed structure of CuCSN.

formation energy from the elements: -0.2 eV/f.u.
relative energy among the computed polymorphs: 14 meV/atom
total moment: 0.00 μB/f.u.

Unit cell a=6.659 b=11.005 c=7.223 alpha=90.00 beta=90.00 gamma=90.00
Fractional positions:
Cu 0.136 0.184 0.156
Cu 0.136 0.316 0.656
Cu 0.364 0.684 0.156
Cu 0.364 0.816 0.656
Cu 0.636 0.184 0.344
Cu 0.636 0.316 0.844
Cu 0.864 0.684 0.344
Cu 0.864 0.816 0.844
C 0.140 0.578 0.795
C 0.140 0.922 0.295
C 0.360 0.078 0.795
C 0.360 0.422 0.295
C 0.640 0.578 0.705
C 0.640 0.922 0.205
C 0.860 0.078 0.705
C 0.860 0.422 0.205
S 0.174 0.716 0.882
S 0.174 0.784 0.382
S 0.326 0.216 0.882
S 0.326 0.284 0.382
S 0.674 0.716 0.618
S 0.674 0.784 0.118
S 0.826 0.216 0.618
S 0.826 0.284 0.118
N 0.118 0.019 0.232
N 0.118 0.481 0.732
N 0.382 0.519 0.232
N 0.382 0.981 0.732
N 0.618 0.019 0.268
N 0.618 0.481 0.768
N 0.882 0.519 0.268
N 0.882 0.981 0.768


DFT (PBE) results for a relaxed structure of CuCSN.

formation energy from the elements: -0.2 eV/f.u.
relative energy among the computed polymorphs: 0 meV/atom
total moment: 0.00 μB/f.u.

Unit cell a=3.840 b=3.840 c=10.953 alpha=90.00 beta=90.00 gamma=120.00
Fractional positions:
Cu 0.333 0.667 0.000
Cu 0.667 0.333 0.500
C 0.333 0.667 0.280
C 0.667 0.333 0.780
S 0.333 0.667 0.432
S 0.667 0.333 0.932
N 0.333 0.667 0.173
N 0.667 0.333 0.673


DFT (PBE) results for a relaxed structure of ZnCuC8N5.

formation energy from the elements: 23.9 eV/f.u.
total moment: 5.80 μB/f.u.

Unit cell a=8.280 b=8.280 c=8.280 alpha=60.00 beta=60.00 gamma=60.00
Fractional positions:
Zn 0.000 0.000 0.000
Cu 0.750 0.750 0.750
C 0.033 0.322 0.322
C 0.322 0.033 0.322
C 0.322 0.322 0.033
C 0.322 0.322 0.322
C 0.463 0.846 0.846
C 0.846 0.463 0.846
C 0.846 0.846 0.463
C 0.846 0.846 0.846
N 0.250 0.250 0.250
N 0.290 0.903 0.903
N 0.903 0.290 0.903
N 0.903 0.903 0.290
N 0.903 0.903 0.903


DFT (PBE) results for a relaxed structure of NaCu5C6.

formation energy from the elements: 6.7 eV/f.u.
total moment: 0.00 μB/f.u.

Unit cell a=7.374 b=10.881 c=7.212 alpha=90.00 beta=90.00 gamma=90.00
Fractional positions:
Na 0.060 0.250 0.179
Na 0.440 0.750 0.679
Na 0.560 0.250 0.321
Na 0.940 0.750 0.821
Cu 0.052 0.539 0.317
Cu 0.052 0.961 0.317
Cu 0.099 0.750 0.426
Cu 0.195 0.552 0.009
Cu 0.195 0.948 0.009
Cu 0.305 0.052 0.509
Cu 0.305 0.448 0.509
Cu 0.401 0.250 0.926
Cu 0.448 0.039 0.817
Cu 0.448 0.461 0.817
Cu 0.552 0.539 0.183
Cu 0.552 0.961 0.183
Cu 0.599 0.750 0.074
Cu 0.695 0.552 0.491
Cu 0.695 0.948 0.491
Cu 0.805 0.052 0.991
Cu 0.805 0.448 0.991
Cu 0.901 0.250 0.574
Cu 0.948 0.039 0.683
Cu 0.948 0.461 0.683
C 0.085 0.691 0.146
C 0.085 0.809 0.146
C 0.139 0.606 0.583
C 0.139 0.894 0.583
C 0.196 0.562 0.740
C 0.196 0.938 0.740
C 0.304 0.062 0.240
C 0.304 0.438 0.240
C 0.361 0.106 0.083
C 0.361 0.394 0.083
C 0.415 0.191 0.646
C 0.415 0.309 0.646
C 0.585 0.691 0.354
C 0.585 0.809 0.354
C 0.639 0.606 0.917
C 0.639 0.894 0.917
C 0.696 0.562 0.760
C 0.696 0.938 0.760
C 0.804 0.062 0.260
C 0.804 0.438 0.260
C 0.861 0.106 0.417
C 0.861 0.394 0.417
C 0.915 0.191 0.854
C 0.915 0.309 0.854


DFT (PBE) results for a relaxed structure of Na2CuC2O6.

formation energy from the elements: -20.1 eV/f.u.
total moment: 1.01 μB/f.u.

Unit cell a=5.763 b=8.150 c=6.307 alpha=90.00 beta=115.51 gamma=90.00
Fractional positions:
Na 0.137 0.093 0.315
Na 0.137 0.407 0.815
Na 0.863 0.593 0.185
Na 0.863 0.907 0.685
Cu 0.500 0.000 0.000
Cu 0.500 0.500 0.500
C 0.306 0.732 0.130
C 0.306 0.768 0.630
C 0.694 0.232 0.370
C 0.694 0.268 0.870
O 0.122 0.669 0.594
O 0.122 0.831 0.094
O 0.286 0.575 0.175
O 0.286 0.925 0.675
O 0.482 0.223 0.881
O 0.482 0.277 0.381
O 0.518 0.723 0.619
O 0.518 0.777 0.119
O 0.714 0.075 0.325
O 0.714 0.425 0.825
O 0.878 0.169 0.906
O 0.878 0.331 0.406


DFT (PBE) results for a relaxed structure of Na3CuPCO7.

formation energy from the elements: -27.5 eV/f.u.
relative energy among the computed polymorphs: 27 meV/atom
total moment: 1.00 μB/f.u.

Unit cell a=5.439 b=6.359 c=9.133 alpha=90.00 beta=92.13 gamma=90.00
Fractional positions:
Na 0.002 0.000 0.005
Na 0.439 0.307 0.168
Na 0.497 0.505 0.510
Na 0.503 0.005 0.490
Na 0.561 0.807 0.832
Na 0.998 0.500 0.995
Cu 0.050 0.245 0.708
Cu 0.950 0.745 0.292
P 0.040 0.750 0.651
P 0.960 0.250 0.349
C 0.497 0.254 0.858
C 0.503 0.754 0.142
O 0.022 0.051 0.256
O 0.055 0.440 0.256
O 0.114 0.241 0.497
O 0.265 0.242 0.902
O 0.316 0.769 0.629
O 0.331 0.749 0.040
O 0.465 0.765 0.279
O 0.535 0.265 0.721
O 0.669 0.249 0.960
O 0.684 0.269 0.371
O 0.735 0.742 0.098
O 0.886 0.741 0.503
O 0.945 0.940 0.744
O 0.978 0.551 0.744


DFT (PBE) results for a relaxed structure of Na3CuPCO7.

formation energy from the elements: -27.8 eV/f.u.
relative energy among the computed polymorphs: 0 meV/atom
total moment: 1.00 μB/f.u.

Unit cell a=5.290 b=6.519 c=9.056 alpha=90.00 beta=93.34 gamma=90.00
Fractional positions:
Na 0.217 0.250 0.084
Na 0.243 0.506 0.726
Na 0.243 0.994 0.726
Na 0.757 0.006 0.274
Na 0.757 0.494 0.274
Na 0.783 0.750 0.916
Cu 0.241 0.750 0.347
Cu 0.759 0.250 0.653
P 0.307 0.250 0.419
P 0.693 0.750 0.581
C 0.291 0.750 0.052
C 0.709 0.250 0.948
O 0.096 0.750 0.136
O 0.169 0.250 0.562
O 0.239 0.061 0.317
O 0.239 0.439 0.317
O 0.246 0.750 0.911
O 0.397 0.750 0.548
O 0.482 0.250 0.887
O 0.518 0.750 0.113
O 0.603 0.250 0.452
O 0.754 0.250 0.089
O 0.761 0.561 0.683
O 0.761 0.939 0.683
O 0.831 0.750 0.438
O 0.904 0.250 0.864


DFT (PBE) results for a relaxed structure of Na2CuPCO7.

formation energy from the elements: -24.5 eV/f.u.
total moment: 2.09 μB/f.u.

Unit cell a=5.179 b=6.441 c=9.021 alpha=90.00 beta=90.12 gamma=90.00
Fractional positions:
Na 0.231 0.006 0.257
Na 0.231 0.494 0.257
Na 0.769 0.506 0.743
Na 0.769 0.994 0.743
Cu 0.221 0.250 0.856
Cu 0.779 0.750 0.144
P 0.294 0.750 0.925
P 0.706 0.250 0.075
C 0.272 0.250 0.574
C 0.728 0.750 0.426
O 0.054 0.250 0.645
O 0.165 0.750 0.080
O 0.210 0.559 0.831
O 0.210 0.941 0.831
O 0.284 0.250 0.435
O 0.406 0.250 0.054
O 0.474 0.250 0.660
O 0.526 0.750 0.340
O 0.594 0.750 0.946
O 0.716 0.750 0.565
O 0.790 0.059 0.169
O 0.790 0.441 0.169
O 0.835 0.250 0.920
O 0.946 0.750 0.355


DFT (PBE) results for a relaxed structure of Na6Cu2PC4O16.

formation energy from the elements: -55.6 eV/f.u.
total moment: 3.00 μB/f.u.

Unit cell a=9.808 b=9.808 c=9.808 alpha=60.00 beta=60.00 gamma=60.00
Fractional positions:
Na 0.085 0.085 0.665
Na 0.085 0.665 0.085
Na 0.085 0.665 0.665
Na 0.335 0.335 0.915
Na 0.335 0.915 0.335
Na 0.335 0.915 0.915
Na 0.665 0.085 0.085
Na 0.665 0.085 0.665
Na 0.665 0.665 0.085
Na 0.915 0.335 0.335
Na 0.915 0.335 0.915
Na 0.915 0.915 0.335
Cu 0.000 0.500 0.500
Cu 0.500 0.000 0.500
Cu 0.500 0.500 0.000
Cu 0.500 0.500 0.500
P 0.125 0.125 0.125
P 0.875 0.875 0.875
C 0.282 0.282 0.282
C 0.282 0.282 0.654
C 0.282 0.654 0.282
C 0.346 0.718 0.718
C 0.654 0.282 0.282
C 0.718 0.346 0.718
C 0.718 0.718 0.346
C 0.718 0.718 0.718
O 0.060 0.060 0.060
O 0.060 0.060 0.319
O 0.060 0.319 0.060
O 0.140 0.301 0.656
O 0.140 0.402 0.301
O 0.140 0.656 0.402
O 0.301 0.140 0.402
O 0.301 0.402 0.656
O 0.301 0.656 0.140
O 0.319 0.060 0.060
O 0.344 0.598 0.860
O 0.344 0.699 0.598
O 0.344 0.860 0.699
O 0.402 0.140 0.656
O 0.402 0.301 0.140
O 0.402 0.656 0.301
O 0.598 0.344 0.699
O 0.598 0.699 0.860
O 0.598 0.860 0.344
O 0.656 0.140 0.301
O 0.656 0.301 0.402
O 0.656 0.402 0.140
O 0.681 0.940 0.940
O 0.699 0.344 0.860
O 0.699 0.598 0.344
O 0.699 0.860 0.598
O 0.860 0.344 0.598
O 0.860 0.598 0.699
O 0.860 0.699 0.344
O 0.940 0.681 0.940
O 0.940 0.940 0.681
O 0.940 0.940 0.940


DFT (PBE) results for a relaxed structure of Na4Cu2C4SO16.

formation energy from the elements: -46.9 eV/f.u.
total moment: 4.00 μB/f.u.

Unit cell a=9.898 b=9.861 c=9.633 alpha=61.02 beta=60.63 gamma=58.35
Fractional positions:
Na 0.085 0.665 0.085
Na 0.087 0.663 0.663
Na 0.335 0.915 0.335
Na 0.337 0.913 0.913
Na 0.663 0.087 0.087
Na 0.665 0.085 0.665
Na 0.913 0.337 0.337
Na 0.915 0.335 0.915
Cu 0.000 0.500 0.500
Cu 0.500 0.000 0.500
Cu 0.500 0.500 0.000
Cu 0.500 0.500 0.500
C 0.277 0.645 0.286
C 0.286 0.292 0.277
C 0.292 0.286 0.645
C 0.355 0.723 0.708
C 0.645 0.277 0.292
C 0.708 0.714 0.355
C 0.714 0.708 0.723
C 0.723 0.355 0.714
S 0.125 0.125 0.125
S 0.875 0.875 0.875
O 0.056 0.311 0.067
O 0.066 0.067 0.311
O 0.067 0.066 0.056
O 0.141 0.639 0.309
O 0.142 0.314 0.393
O 0.144 0.405 0.654
O 0.297 0.654 0.405
O 0.309 0.411 0.141
O 0.311 0.056 0.066
O 0.314 0.142 0.651
O 0.346 0.703 0.856
O 0.349 0.607 0.686
O 0.361 0.859 0.589
O 0.393 0.651 0.142
O 0.405 0.144 0.297
O 0.411 0.309 0.639
O 0.589 0.691 0.361
O 0.595 0.856 0.703
O 0.607 0.349 0.858
O 0.639 0.141 0.411
O 0.651 0.393 0.314
O 0.654 0.297 0.144
O 0.686 0.858 0.349
O 0.689 0.944 0.934
O 0.691 0.589 0.859
O 0.703 0.346 0.595
O 0.856 0.595 0.346
O 0.858 0.686 0.607
O 0.859 0.361 0.691
O 0.933 0.934 0.944
O 0.934 0.933 0.689
O 0.944 0.689 0.933


| no. | energy (eV per atom) | density (g/cm³) |
| --- | --- | --- |
| 1 | -6.280 | 3.053 |
| 2 | -6.294 | 2.888 |
| 3 | -6.343 | 1.221 |
| 4 | -5.873 | 4.738 |
| 5 | -6.439 | 2.851 |
| 6 | -6.155 | 3.025 |
| 7 | -6.182 | 3.062 |
| 8 | -6.307 | 2.919 |
| 9 | -6.285 | 2.987 |
| 10 | -6.283 | 2.777 |